The following is a PBE calculation of crystalline CsAgF3 at its relaxed geometry, from the Materials Project database.

Unit cell a=6.385 b=6.385 c=6.385 alpha=118.43 beta=118.43 gamma=92.75
Fractional positions:
Cs1 0.250 0.250 0.000
Cs2 0.750 0.750 0.000
Ag1 0.000 0.500 0.500
Ag2 0.500 0.000 0.500
F1 0.230 0.730 0.959
F2 0.250 0.750 0.500
F3 0.270 0.230 0.500
F4 0.730 0.770 0.500
F5 0.750 0.250 0.500
F6 0.770 0.270 0.041

Calculated values
SG   I4/mcm

The following is a PBE calculation of crystalline Cs2AgF4 at its relaxed geometry, from the Materials Project database.

Unit cell a=8.039 b=8.039 c=8.039 alpha=146.95 beta=146.95 gamma=47.44
Fractional positions:
Cs1 0.144 0.144 0.000
Cs2 0.856 0.856 0.000
Ag1 0.500 0.500 0.000
F1 0.000 0.500 0.500
F2 0.350 0.350 0.000
F3 0.500 0.000 0.500
F4 0.650 0.650 0.000

Calculated values
SG   I4/mmm

Number 1: corrected total energy (MP2020 scheme) -4.03 eV per atom, raw total energy -3.748 eV/atom, energy of formation from the pure elements -2.13 eV/atom. Number 2: corrected total energy (MP2020 scheme) -4.09 eV per atom, raw total energy -3.827 eV/atom, energy of formation from the pure elements -2.34 eV/atom.